1.
{"formula": "Cu2S3O12", "functional": "PBE", "state": "optimized geometry", "total_magnetization_mub_per_fu": 4.00, "formation_energy_ev_per_atom": -1.4456, "crystal_system": "monoclinic", "e_above_lowest_polymorph_mev_per_atom": 17, "lattice_angstrom": [[8.3238, 0.0000, 0.0000], [0.0000, 8.6041, 0.0000], [-8.0773, 0.0000, 11.7033]], "species": ["Cu", "Cu", "Cu", "Cu", "Cu", "Cu", "Cu", "Cu", "S", "S", "S", "S", "S", "S", "S", "S", "S", "S", "S", "S", "O", "O", "O", "O", "O", "O", "O", "O", "O", "O", "O", "O", "O", "O", "O", "O", "O", "O", "O", "O", "O", "O", "O", "O", "O", "O", "O", "O", "O", "O", "O", "O", "O", "O", "O", "O", "O", "O", "O", "O", "O", "O", "O", "O", "O", "O", "O", "O"], "frac_coords": [[0.1327, 0.0320, 0.3852], [0.1327, 0.4680, 0.8852], [0.3595, 0.0320, 0.1085], [0.3595, 0.4680, 0.6085], [0.6405, 0.5320, 0.3915], [0.6405, 0.9680, 0.8915], [0.8673, 0.5320, 0.1148], [0.8673, 0.9680, 0.6148], [0.0286, 0.6137, 0.6453], [0.0286, 0.8863, 0.1453], [0.2619, 0.1218, 0.6512], [0.2619, 0.3782, 0.1512], [0.4511, 0.7492, 0.9930], [0.4511, 0.7508, 0.4930], [0.5489, 0.2492, 0.5070], [0.5489, 0.2508, 0.0070], [0.7381, 0.6218, 0.8488], [0.7381, 0.8782, 0.3488], [0.9714, 0.1137, 0.8547], [0.9714, 0.3863, 0.3547], [0.0237, 0.7302, 0.1883], [0.0237, 0.7698, 0.6883], [0.1203, 0.5025, 0.7426], [0.1203, 0.9975, 0.2426], [0.1360, 0.0769, 0.6901], [0.1360, 0.4231, 0.1901], [0.1483, 0.6172, 0.5988], [0.1483, 0.8828, 0.0988], [0.1576, 0.0855, 0.5282], [0.1576, 0.4145, 0.0282], [0.1744, 0.0597, 0.9404], [0.1744, 0.4403, 0.4404], [0.2525, 0.6826, 0.9403], [0.2525, 0.8174, 0.4403], [0.2895, 0.2069, 0.1687], [0.2895, 0.2931, 0.6687], [0.4015, 0.1259, 0.4474], [0.4015, 0.3741, 0.9474], [0.4484, 0.0354, 0.7169], [0.4484, 0.4646, 0.2169], [0.4513, 0.6771, 0.3983], [0.4513, 0.8229, 0.8983], [0.4879, 0.6393, 0.5825], [0.4879, 0.8607, 0.0825], [0.5121, 0.1393, 0.9175], [0.5121, 0.3607, 0.4175], [0.5487, 0.1771, 0.1017], [0.5487, 0.3229, 0.6017], [0.5516, 0.5354, 0.7831], [0.5516, 0.9646, 0.2831], [0.5985, 0.6259, 0.0526], [0.5985, 0.8741, 0.5526], [0.7105, 0.7069, 0.3313], [0.7105, 0.7931, 0.8313], [0.7475, 0.1826, 0.5597], [0.7475, 0.3174, 0.0597], [0.8256, 0.5597, 0.5596], [0.8256, 0.9403, 0.0596], [0.8424, 0.5855, 0.9718], [0.8424, 0.9145, 0.4718], [0.8517, 0.1172, 0.9012], [0.8517, 0.3828, 0.4012], [0.8640, 0.5769, 0.8099], [0.8640, 0.9231, 0.3099], [0.8797, 0.0025, 0.7574], [0.8797, 0.4975, 0.2574], [0.9763, 0.2302, 0.3117], [0.9763, 0.2698, 0.8117]]}

***

2.
{"formula": "K3Tc", "functional": "PBE", "state": "optimized geometry", "total_magnetization_mub_per_fu": 3.60, "formation_energy_ev_per_atom": 1.2071, "crystal_system": "tetragonal", "e_above_lowest_polymorph_mev_per_atom": 12, "lattice_angstrom": [[-2.8797, 2.8797, 5.4495], [2.8797, -2.8797, 5.4495], [2.8797, 2.8797, -5.4495]], "species": ["K", "K", "K", "Tc"], "frac_coords": [[0.0000, 0.0000, 0.0000], [0.2500, 0.7500, 0.5000], [0.7500, 0.2500, 0.5000], [0.5000, 0.5000, 0.0000]]}